Record 1
Here is an optimized crystal structure of Th2AsS2 from Materials Project. Energies are from GGA-PBE.

a = 3.8049 Å, b = 3.8049 Å, c = 14.7905 Å
α = 90.00°, β = 90.00°, γ = 90.00°
Fractional coordinates of all 5 atoms:
Th1 0.5000 0.5000 0.1952
Th2 0.5000 0.5000 0.8048
As1 0.5000 0.5000 0.0000
S1 0.5000 0.5000 0.3565
S2 0.5000 0.5000 0.6435

Properties
The magnetization is 0.183 μB/atom. The calculation puts the total energy at -5.14 eV per atom. The calculation puts the formation energy at 0.213 eV per atom.

Record 2
Here is an optimized crystal structure of U2AsS2 from Materials Project. Energies are from GGA-PBE.

a = 2.6450 Å, b = 2.6450 Å, c = 15.6190 Å
α = 90.00°, β = 90.00°, γ = 90.00°
Fractional coordinates of all 5 atoms:
U1 0.5000 0.5000 0.8082
U2 0.5000 0.5000 0.1918
S1 0.5000 0.5000 0.3632
S2 0.5000 0.5000 0.6368
As1 0.5000 0.5000 0.0000

Properties
The magnetization is 0.328 μB/atom. The calculation puts the total energy at -6.71 eV per atom. The calculation puts the formation energy at 0.189 eV per atom.

Record 3
Here is an optimized crystal structure of UAsS from Materials Project. Energies are from GGA-PBE.

a = 3.8572 Å, b = 3.8572 Å, c = 8.1239 Å
α = 90.00°, β = 90.00°, γ = 90.00°
Fractional coordinates of all 6 atoms:
As1 0.0000 0.0000 0.0000
As2 0.5000 0.5000 0.0000
S1 0.0000 0.5000 0.3638
S2 0.5000 0.0000 0.6362
U1 0.0000 0.5000 0.7080
U2 0.5000 0.0000 0.2920

Properties
The calculation puts the total energy at -7.83 eV per atom. The calculation puts the formation energy at -1.301 eV per atom.

Record 4
Here is an optimized crystal structure of U2AsS from Materials Project. Energies are from GGA-PBE.

a = 6.7442 Å, b = 6.7442 Å, c = 6.7442 Å
α = 34.83°, β = 34.83°, γ = 34.83°
Fractional coordinates of all 4 atoms:
U1 0.2447 0.2447 0.2447
U2 0.7553 0.7553 0.7553
As1 0.0000 0.0000 0.0000
S1 0.5000 0.5000 0.5000

Properties
The calculation puts the total energy at -8.89 eV per atom. The calculation puts the formation energy at -1.172 eV per atom.

Record 5
Here is an optimized crystal structure of Y2AsS from Materials Project. Energies are from GGA-PBE.

a = 6.9279 Å, b = 6.9279 Å, c = 6.9279 Å
α = 33.90°, β = 33.90°, γ = 33.90°
Fractional coordinates of all 4 atoms:
Y1 0.2493 0.2493 0.2493
Y2 0.7507 0.7507 0.7507
S1 0.5000 0.5000 0.5000
As1 0.0000 0.0000 0.0000

Properties
The calculation puts the total energy at -7.24 eV per atom. The calculation puts the formation energy at -1.930 eV per atom.

Record 6
Here is an optimized crystal structure of Tl4SbAs3Se8 from Materials Project. Energies are from GGA-PBE.

a = 5.7622 Å, b = 3.8146 Å, c = 20.3016 Å
α = 90.00°, β = 90.00°, γ = 90.00°
Fractional coordinates of all 16 atoms:
Se1 0.0000 0.5000 0.4056
Se2 0.0000 0.5000 0.1048
Se3 0.5000 0.5000 0.8456
Se4 0.5000 0.5000 0.3459
Se5 0.5000 0.5000 0.6541
Se6 0.0000 0.5000 0.8952
Se7 0.0000 0.5000 0.5944
Se8 0.5000 0.5000 0.1544
As1 0.0000 0.0000 0.5000
As2 0.5000 0.0000 0.7485
As3 0.5000 0.0000 0.2515
Tl1 0.5000 0.5000 0.0000
Tl2 0.0000 0.5000 0.7457
Tl3 0.5000 0.5000 0.5000
Tl4 0.0000 0.5000 0.2543
Sb1 0.0000 0.0000 0.0000

Properties
The magnetization is 0.000 μB/atom. The calculation puts the total energy at -3.45 eV per atom. The calculation puts the formation energy at -0.218 eV per atom.

Record 7
Here is an optimized crystal structure of Sr5Sb2As from Materials Project. Energies are from GGA-PBE.

a = 8.6846 Å, b = 9.9207 Å, c = 13.2981 Å
α = 90.00°, β = 90.00°, γ = 90.00°
Fractional coordinates of all 32 atoms:
Sr1 0.4563 0.7500 0.0021
Sr2 0.8352 0.2500 0.7849
Sr3 0.8137 0.5364 0.0755
Sr4 0.1648 0.7500 0.2151
Sr5 0.3137 0.0364 0.4245
Sr6 0.9563 0.2500 0.4979
Sr7 0.6863 0.9636 0.5755
Sr8 0.3137 0.4636 0.4245
Sr9 0.6399 0.7500 0.2983
Sr10 0.5437 0.2500 0.9979
Sr11 0.6863 0.5364 0.5755
Sr12 0.6648 0.2500 0.2849
Sr13 0.8137 0.9636 0.0755
Sr14 0.1863 0.4636 0.9245
Sr15 0.3601 0.2500 0.7017
Sr16 0.3352 0.7500 0.7151
Sr17 0.0437 0.7500 0.5021
Sr18 0.1399 0.2500 0.2017
Sr19 0.8601 0.7500 0.7983
Sr20 0.1863 0.0364 0.9245
Sb1 0.5661 0.5096 0.8291
Sb2 0.5661 0.9904 0.8291
Sb3 0.0661 0.4904 0.6709
Sb4 0.9339 0.5096 0.3291
Sb5 0.4339 0.4904 0.1709
Sb6 0.4339 0.0096 0.1709
Sb7 0.9339 0.9904 0.3291
Sb8 0.0661 0.0096 0.6709
As1 0.9265 0.2500 0.0138
As2 0.0735 0.7500 0.9862
As3 0.5735 0.2500 0.5138
As4 0.4265 0.7500 0.4862

Properties
The magnetization is 0.125 μB/atom. The calculation puts the total energy at -3.71 eV per atom. The calculation puts the formation energy at -1.035 eV per atom.

Record 8
Here is an optimized crystal structure of Zr5Sb3As from Materials Project. Energies are from GGA-PBE.

a = 8.6811 Å, b = 8.6811 Å, c = 5.9453 Å
α = 90.00°, β = 90.00°, γ = 120.00°
Fractional coordinates of all 18 atoms:
Zr1 0.2637 0.2637 0.2500
Zr2 0.3333 0.6667 0.5000
Zr3 0.0000 0.2637 0.7500
Zr4 0.7363 0.0000 0.2500
Zr5 0.7363 0.7363 0.7500
Zr6 0.0000 0.7363 0.2500
Zr7 0.6667 0.3333 0.5000
Zr8 0.3333 0.6667 0.0000
Zr9 0.2637 0.0000 0.7500
Zr10 0.6667 0.3333 0.0000
Sb1 0.0000 0.6053 0.7500
Sb2 0.6053 0.0000 0.7500
Sb3 0.6053 0.6053 0.2500
Sb4 0.0000 0.3947 0.2500
Sb5 0.3947 0.0000 0.2500
Sb6 0.3947 0.3947 0.7500
As1 0.0000 0.0000 0.5000
As2 0.0000 0.0000 0.0000

Properties
The calculation puts the total energy at -7.47 eV per atom. The calculation puts the formation energy at -0.829 eV per atom.

Record 9
Here is an optimized crystal structure of Sc3As2 from Materials Project. Energies are from GGA-PBE.

a = 10.3543 Å, b = 10.3543 Å, c = 3.8641 Å
α = 90.00°, β = 90.00°, γ = 90.00°
Fractional coordinates of all 20 atoms:
Sc1 0.6034 0.2800 0.0000
Sc2 0.8597 0.1883 0.5000
Sc3 0.2800 0.3966 0.0000
Sc4 0.3966 0.7200 0.0000
Sc5 0.1883 0.1403 0.5000
Sc6 0.8117 0.8597 0.5000
Sc7 0.5000 0.0000 0.5000
Sc8 0.7200 0.6034 0.0000
Sc9 0.5000 0.5000 0.5000
Sc10 0.1403 0.8117 0.5000
Sc11 0.0000 0.0000 0.0000
Sc12 0.0000 0.5000 0.5000
As1 0.9558 0.7219 0.0000
As2 0.2781 0.9558 0.0000
As3 0.2541 0.5827 0.5000
As4 0.5827 0.7459 0.5000
As5 0.7459 0.4173 0.5000
As6 0.7219 0.0442 0.0000
As7 0.4173 0.2541 0.5000
As8 0.0442 0.2781 0.0000

Properties
The calculation puts the total energy at -6.79 eV per atom. The calculation puts the formation energy at -1.125 eV per atom.

Record 10
Here is an optimized crystal structure of Sc3As2 from Materials Project. Energies are from GGA-PBE.

a = 3.8876 Å, b = 7.1345 Å, c = 14.8457 Å
α = 90.00°, β = 90.00°, γ = 90.00°
Fractional coordinates of all 20 atoms:
Sc1 0.2500 0.3651 0.5695
Sc2 0.7500 0.8305 0.2237
Sc3 0.2500 0.6695 0.7237
Sc4 0.7500 0.3305 0.2763
Sc5 0.7500 0.4990 0.8960
Sc6 0.2500 0.1695 0.7763
Sc7 0.2500 0.5010 0.1040
Sc8 0.7500 0.6349 0.4305
Sc9 0.7500 0.9990 0.6040
Sc10 0.7500 0.1349 0.0695
Sc11 0.2500 0.8651 0.9305
Sc12 0.2500 0.0010 0.3960
As1 0.7500 0.2439 0.4570
As2 0.2500 0.2561 0.9570
As3 0.2500 0.6156 0.2941
As4 0.7500 0.3844 0.7059
As5 0.7500 0.8844 0.7941
As6 0.7500 0.7439 0.0430
As7 0.2500 0.1156 0.2059
As8 0.2500 0.7561 0.5430

Properties
The calculation puts the total energy at -6.83 eV per atom. The calculation puts the formation energy at -1.166 eV per atom.

Record 11
Here is an optimized crystal structure of ScAs from Materials Project. Energies are from GGA-PBE.

a = 3.3957 Å, b = 3.3957 Å, c = 3.3957 Å
α = 90.00°, β = 90.00°, γ = 90.00°
Fractional coordinates of all 2 atoms:
As1 0.5000 0.5000 0.5000
Sc1 0.0000 0.0000 0.0000

Properties
The magnetization is 0.001 μB/atom. The calculation puts the total energy at -6.39 eV per atom. The calculation puts the formation energy at -0.890 eV per atom.

Record 12
Here is an optimized crystal structure of Sc3As2 from Materials Project. Energies are from GGA-PBE.

a = 3.8442 Å, b = 10.3322 Å, c = 10.4553 Å
α = 90.00°, β = 90.00°, γ = 90.00°
Fractional coordinates of all 20 atoms:
As1 0.2500 0.0054 0.8131
As2 0.7500 0.9946 0.1869
As3 0.2500 0.8209 0.4865
As4 0.2500 0.6791 0.9865
As5 0.2500 0.4946 0.3131
As6 0.7500 0.5054 0.6869
As7 0.7500 0.3209 0.0135
As8 0.7500 0.1791 0.5135
Sc1 0.2500 0.1324 0.0486
Sc2 0.2500 0.7035 0.7231
Sc3 0.7500 0.9364 0.6279
Sc4 0.2500 0.4364 0.8721
Sc5 0.7500 0.2965 0.2769
Sc6 0.7500 0.5636 0.1279
Sc7 0.7500 0.6324 0.4514
Sc8 0.7500 0.2035 0.7769
Sc9 0.2500 0.0636 0.3721
Sc10 0.7500 0.8676 0.9514
Sc11 0.2500 0.7965 0.2231
Sc12 0.2500 0.3676 0.5486

Properties
The calculation puts the total energy at -6.82 eV per atom. The calculation puts the formation energy at -1.154 eV per atom.